Below is an optimized crystal structure of BaY2F8, with properties calculated at the PBE level.

relative energy among the computed polymorphs	0	meV per atom
ΔE_f	-48.21	eV per formula unit
VASP energy	-74.7	eV/cell

CIF file:
```
data_BaY2F8
_symmetry_space_group_name_H-M 'P 1'
_symmetry_Int_Tables_number 1
_symmetry_space_group_name_Hall 'P 1'
_cell_length_a 6.393
_cell_length_b 6.393
_cell_length_c 4.334
_cell_angle_alpha 84.79
_cell_angle_beta 84.79
_cell_angle_gamma 112.75
loop_
_atom_site_label
_atom_site_type_symbol
_atom_site_fract_x
_atom_site_fract_y
_atom_site_fract_z
_atom_site_occupancy
Y1 Y 0.326 0.674 0.000 1
Y2 Y 0.674 0.326 0.000 1
F1 F 0.951 0.673 0.064 1
F2 F 0.673 0.951 0.064 1
F3 F 0.742 0.258 0.500 1
F4 F 0.609 0.609 0.725 1
F5 F 0.258 0.742 0.500 1
F6 F 0.391 0.391 0.275 1
F7 F 0.049 0.327 0.936 1
F8 F 0.327 0.049 0.936 1
Ba1 Ba 0.000 0.000 0.500 1
```